(1)
Computed, not measured: CrFeSb4 after structural relaxation at the GGA-PBE level of DFT.

Computed properties:
final energy: -5.737 eV per atom
ΔH_f (0 K): -91 meV/atom

Cell and atoms, written as CIF:
```
data_CrFeSb4
_chemical_formula_sum 'Cr1 Fe1 Sb4'
_symmetry_space_group_name_H-M 'P 1 2/m 1'
_symmetry_Int_Tables_number 10
_cell_length_a 5.9436
_cell_length_b 3.2244
_cell_length_c 6.6907
_cell_angle_alpha 90.00
_cell_angle_beta 90.06
_cell_angle_gamma 90.00
loop_
_symmetry_equiv_pos_as_xyz
'x,y,z'
'-x,-y,-z'
'-x,y,-z'
'x,-y,z'
loop_
_atom_site_label
_atom_site_type_symbol
_atom_site_fract_x
_atom_site_fract_y
_atom_site_fract_z
_atom_site_occupancy
Cr1 Cr 0.0000 0.0000 0.0000 1
Fe1 Fe 0.5000 0.5000 0.5000 1
Sb1 Sb 0.1970 0.0000 0.3662 1
Sb2 Sb 0.3223 0.5000 0.8479 1
```



(2)
Computed, not measured: Cr2FeSe4 after structural relaxation at the GGA-PBE level of DFT.

Computed properties:
final energy: -6.360 eV per atom
ΔH_f (0 K): -664 meV/atom

Cell and atoms, written as CIF:
```
data_Cr2FeSe4
_chemical_formula_sum 'Cr4 Fe2 Se8'
_symmetry_space_group_name_H-M 'C 1 2/m 1'
_symmetry_Int_Tables_number 12
_cell_length_a 12.9952
_cell_length_b 3.6929
_cell_length_c 6.3877
_cell_angle_alpha 90.00
_cell_angle_beta 119.21
_cell_angle_gamma 90.00
loop_
_symmetry_equiv_pos_as_xyz
'x,y,z'
'-x,-y,-z'
'-x,y,-z'
'x,-y,z'
'x+1/2,y+1/2,z'
'-x+1/2,-y+1/2,-z'
'-x+1/2,y+1/2,-z'
'x+1/2,-y+1/2,z'
loop_
_atom_site_label
_atom_site_type_symbol
_atom_site_fract_x
_atom_site_fract_y
_atom_site_fract_z
_atom_site_occupancy
Cr1 Cr 0.2443 0.0000 0.2607 1
Fe1 Fe 0.0000 0.5000 0.5000 1
Se1 Se 0.1220 0.5000 0.2914 1
Se2 Se 0.1303 0.0000 0.7952 1
```